Na3Ni2P2C2O14: relaxed, PBE+U.

Lattice parameters (Å, degrees): 8.3107 8.3182 10.2215 107.61 107.55 102.98
Sites, in units of the cell vectors:
Na1 0.0000 0.0000 0.0000
Na2 0.0131 0.9993 0.5023
Na3 0.2477 0.7458 0.4938
Na4 0.2738 0.7208 0.0062
Na5 0.5241 0.4703 0.4881
Na6 0.7518 0.2378 0.9959
Ni1 0.0621 0.3053 0.4034
Ni2 0.4444 0.1858 0.0955
Ni3 0.5647 0.8060 0.3997
Ni4 0.9407 0.6832 0.0946
P1 0.1979 0.4357 0.1724
P2 0.3057 0.0445 0.3207
P3 0.7032 0.9442 0.1759
P4 0.8107 0.5499 0.3237
C1 0.2426 0.4731 0.6754
C2 0.2765 0.0090 0.8208
C3 0.7326 0.9724 0.6745
C4 0.7749 0.5122 0.8214
O1 0.0623 0.3087 0.2085
O2 0.0945 0.5212 0.0763
O3 0.1013 0.3308 0.6198
O4 0.1605 0.8994 0.1688
O5 0.1875 0.9232 0.6822
O6 0.2225 0.1494 0.4190
O7 0.2321 0.9636 0.9203
O8 0.2691 0.3181 0.0720
O9 0.2858 0.5157 0.5740
O10 0.3300 0.5638 0.8126
O11 0.3484 0.5792 0.3220
O12 0.4056 0.9574 0.4165
O13 0.4189 0.1504 0.8789
O14 0.4336 0.1774 0.2853
O15 0.5704 0.8155 0.2107
O16 0.5885 0.8303 0.6142
O17 0.5981 0.0252 0.0760
O18 0.6681 0.3989 0.1769
O19 0.6893 0.4246 0.6835
O20 0.7278 0.6550 0.4219
O21 0.7300 0.4672 0.9200
O22 0.7788 0.0175 0.5766
O23 0.7871 0.8411 0.0773
O24 0.8189 0.0575 0.8135
O25 0.8502 0.0873 0.3255
O26 0.9168 0.6567 0.8801
O27 0.9291 0.4810 0.4271
O28 0.9397 0.6847 0.2890

Computed properties:
Total magnetic moment = 0.043 μB/atom
Formation energy from the elements = -1.9908 eV per atom